1.
VASP calculation (r2SCAN) on a relaxed RbInSe2 crystal.

Structure (extended XYZ):
```
32
Lattice="5.8165 5.8193 0.0036 -5.8165 5.8193 0.0036 0.0000 2.9070 16.1139" Properties=species:S:1:pos:R:3 pbc="T T T"
Se -0.7255 3.6331 7.0438
Se -5.2254 7.9995 12.0890
Se -2.1747 7.9940 15.1222
Rb -0.7267 3.6357 1.8480
Se 5.2254 6.5460 4.0321
Se 2.1747 6.5405 7.0653
Se 2.1811 9.5937 4.0341
In 0.7343 5.0987 5.4658
Rb -0.7267 9.4563 6.2161
Se -2.1747 8.0050 9.0558
Se -0.8706 6.5460 4.0321
Se 2.1747 6.5515 0.9989
Se -2.1811 4.9518 12.0870
Se 0.7255 5.0866 15.1007
Se 0.7255 10.9125 9.0773
In -3.6230 9.4417 13.5297
Rb 0.7267 10.9098 14.2731
Rb 0.7267 5.0892 9.9050
Rb -3.6380 6.5454 1.7771
In -0.7343 6.5522 13.5228
Rb 3.6380 7.9989 9.8341
Se -2.1811 11.0472 12.0910
Se -0.7255 9.4590 1.0204
In -3.6230 6.5574 10.6483
Se 2.1811 3.4983 4.0301
Rb -3.6380 6.5467 6.2870
In 3.6230 7.9882 5.4728
In 0.7343 7.9934 2.5983
In 3.6230 5.1039 2.5914
In -0.7343 9.4469 10.6553
Se 0.8706 7.9995 12.0890
Rb 3.6380 8.0002 14.3440
```

Computed properties:
E_form = -1.124 eV/atom
calculated total energy = -17.407 eV/atom
space-group type = No. 15

=====

2.
VASP calculation (r2SCAN) on a relaxed U8FeSe17 crystal.

Structure (extended XYZ):
```
26
Lattice="-7.1471 3.7736 -1.8322 -6.1989 -5.0137 -2.2932 -5.1278 -1.1175 9.6129" Properties=species:S:1:pos:R:3 pbc="T T T"
Se -7.9185 -1.2177 6.0011
Se -14.2473 -1.7461 3.6743
Fe -12.2037 2.5964 7.7612
U -8.7179 -3.2767 0.4082
Se -8.7724 -5.5666 2.5176
Se -7.5470 0.7248 3.0200
U -9.7701 0.9489 5.0772
Se -8.8788 1.8977 -2.2035
U -4.3477 -0.4274 -1.1414
U -9.2332 1.2353 0.6874
U -5.5110 -0.8468 4.3801
U -9.2449 -3.5878 4.8230
Se -11.2223 -1.6000 5.8413
Se -7.2613 -0.7830 -0.3314
U -14.0999 -1.9413 6.6455
Se -8.3172 -3.5332 -2.4701
Se -7.1695 -2.6990 2.8371
Se -4.7724 -0.8859 7.1819
Se -9.5722 -4.2574 7.6938
Se -10.5802 -1.1345 -0.5188
Se -13.7568 -1.4375 -1.7117
Se -4.2226 -0.5999 1.8030
Se -10.9285 -3.0767 2.4452
U -12.9716 -1.5110 1.1078
Se -11.3178 0.3548 2.6292
Se -10.1390 1.1618 7.9865
```

Computed properties:
E_form = -1.483 eV/atom
calculated total energy = -35.993 eV/atom
space-group type = No. 1

=====

3.
VASP calculation (r2SCAN) on a relaxed NaZn13 crystal.

Structure (extended XYZ):
```
28
Lattice="-4.1057 7.0620 -2.4768 -8.5302 0.2612 0.1756 -4.0035 4.8543 5.7681" Properties=species:S:1:pos:R:3 pbc="T T T"
Zn -10.9619 6.8581 4.7954
Zn -5.6774 5.3193 -1.3286
Zn -12.0834 6.6451 0.1607
Zn -9.9283 5.1432 -0.0952
Zn -8.3197 6.0887 1.7334
Zn -8.8108 5.4426 4.2168
Na -12.4795 9.1331 2.6001
Zn -10.8716 6.0320 2.2904
Zn 0.0000 0.0000 0.0000
Zn -11.0624 4.0756 4.0516
Zn -7.4238 2.0706 1.7013
Zn -5.5769 8.1018 -0.5848
Zn -9.8278 7.9256 0.6486
Zn -7.3897 4.2170 0.1658
Zn -10.0714 7.1098 -1.8496
Zn -6.8115 4.2518 2.8183
Zn -7.1548 9.5174 3.6920
Zn -7.2377 8.4252 1.2908
Zn -6.7110 7.0342 3.5621
Zn -9.2156 10.1068 1.7656
Zn -9.4846 2.6600 -0.2251
Zn -7.8286 6.7348 -0.7499
Zn -9.4017 3.7523 2.1761
Zn -4.5559 5.5323 3.3062
Zn -6.5679 5.0676 5.3164
Zn -9.2497 7.9605 3.3010
Zn -5.7678 6.1454 1.1765
Na -4.1598 3.0444 0.8667
```

Computed properties:
E_form = -0.081 eV/atom
calculated total energy = -8.610 eV/atom
space-group type = No. 226

=====

4.
VASP calculation (r2SCAN) on a relaxed Ho3Sc crystal.

Structure (extended XYZ):
```
8
Lattice="3.5373 -6.1268 0.0000 3.5373 6.1268 0.0000 0.0000 0.0000 5.4655" Properties=species:S:1:pos:R:3 pbc="T T T"
Ho 5.2797 1.0363 1.3664
Ho 1.7949 -1.0363 4.0991
Ho 3.5373 4.0542 1.3664
Ho 3.5373 -4.0542 4.0991
Ho 5.2797 -1.0363 4.0991
Ho 1.7949 1.0363 1.3664
Sc 3.5373 -2.0423 1.3664
Sc 3.5373 2.0423 4.0991
```

Computed properties:
E_form = 0.024 eV/atom
calculated total energy = -27.486 eV/atom
space-group type = No. 194

=====

5.
VASP calculation (r2SCAN) on a relaxed SrB2Rh2 crystal.

Structure (extended XYZ):
```
10
Lattice="5.3892 0.0163 -1.4770 -2.8325 4.5848 -1.4770 -0.0125 -0.0226 6.1208" Properties=species:S:1:pos:R:3 pbc="T T T"
Sr 4.3584 0.5817 0.0532
B 1.6591 2.0816 0.0532
Sr -1.8142 3.9968 3.1136
Rh 0.5783 3.4613 1.2669
Rh 2.6400 2.3305 -1.7935
Rh -0.0958 2.2481 4.9603
B 3.7082 0.9282 3.1136
B -1.1641 3.6504 0.0532
Rh 1.9658 1.1172 1.9000
B 0.8851 2.4969 3.1136
```

Computed properties:
E_form = -0.639 eV/atom
calculated total energy = -16.261 eV/atom
space-group type = No. 70

=====

6.
VASP calculation (r2SCAN) on a relaxed Zr6Co16Si7 crystal.

Structure (extended XYZ):
```
29
Lattice="0.0000 5.6866 5.6866 5.6866 0.0000 5.6866 5.6866 5.6866 0.0000" Properties=species:S:1:pos:R:3 pbc="T T T"
Si 5.6866 0.0000 5.6866
Zr 8.0631 5.6866 5.6866
Si 5.6866 2.8433 2.8433
Co 7.6592 7.6592 7.6592
Co 9.4005 7.6592 9.4005
Co 1.3655 4.3211 4.3211
Zr 5.6866 8.0630 5.6866
Co 3.7139 1.9727 1.9726
Co 1.9726 1.9727 3.7139
Si 8.5299 11.3731 8.5299
Si 2.8433 2.8433 5.6866
Si 8.5299 8.5299 11.3731
Co 4.3211 1.3655 4.3211
Co 7.6592 9.4005 9.4005
Si 11.3731 8.5299 8.5299
Zr 5.6866 5.6866 3.3101
Co 4.3211 4.3211 1.3655
Co 10.0077 7.0520 7.0520
Co 1.3655 1.3655 1.3655
Zr 5.6866 3.3100 5.6866
Zr 5.6867 5.6866 8.0631
Co 3.7139 3.7139 3.7139
Co 1.9727 3.7139 1.9727
Co 10.0077 10.0077 10.0077
Si 2.8433 5.6866 2.8433
Zr 3.3101 5.6866 5.6865
Co 7.0520 10.0077 7.0520
Co 9.4005 9.4005 7.6592
Co 7.0520 7.0520 10.0077
```

Computed properties:
E_form = -0.612 eV/atom
calculated total energy = -14.738 eV/atom
space-group type = No. 225

=====

- Which of these has the lowest E_form?
  U8FeSe17

=====

What did the second record say?
VASP calculation (r2SCAN) on a relaxed U8FeSe17 crystal.

Structure (extended XYZ):
```
26
Lattice="-7.1471 3.7736 -1.8322 -6.1989 -5.0137 -2.2932 -5.1278 -1.1175 9.6129" Properties=species:S:1:pos:R:3 pbc="T T T"
Se -7.9185 -1.2177 6.0011
Se -14.2473 -1.7461 3.6743
Fe -12.2037 2.5964 7.7612
U -8.7179 -3.2767 0.4082
Se -8.7724 -5.5666 2.5176
Se -7.5470 0.7248 3.0200
U -9.7701 0.9489 5.0772
Se -8.8788 1.8977 -2.2035
U -4.3477 -0.4274 -1.1414
U -9.2332 1.2353 0.6874
U -5.5110 -0.8468 4.3801
U -9.2449 -3.5878 4.8230
Se -11.2223 -1.6000 5.8413
Se -7.2613 -0.7830 -0.3314
U -14.0999 -1.9413 6.6455
Se -8.3172 -3.5332 -2.4701
Se -7.1695 -2.6990 2.8371
Se -4.7724 -0.8859 7.1819
Se -9.5722 -4.2574 7.6938
Se -10.5802 -1.1345 -0.5188
Se -13.7568 -1.4375 -1.7117
Se -4.2226 -0.5999 1.8030
Se -10.9285 -3.0767 2.4452
U -12.9716 -1.5110 1.1078
Se -11.3178 0.3548 2.6292
Se -10.1390 1.1618 7.9865
```

Computed properties:
E_form = -1.483 eV/atom
calculated total energy = -35.993 eV/atom
space-group type = No. 1